Entry 1:
The following is a PBE with a Hubbard U calculation of Mn12O5F19 after structural relaxation, from the Materials Project.

```
Mn12O5F19
1.0
-1.212 0.853 5.114
2.833 -4.389 1.276
12.087 9.456 1.109
F O Mn
19 5 12
direct
0.786 0.319 0.101 F
0.170 0.851 0.761 F
0.864 0.215 0.437 F
0.667 0.118 0.744 F
0.168 0.251 0.277 F
0.302 0.662 0.593 F
0.171 0.761 0.070 F
0.831 0.355 0.932 F
0.307 0.155 0.588 F
0.657 0.206 0.268 F
0.306 0.618 0.900 F
0.348 0.123 0.922 F
0.820 0.737 0.214 F
0.814 0.848 0.567 F
0.177 0.795 0.423 F
0.379 0.332 0.435 F
0.836 0.851 0.899 F
0.659 0.830 0.055 F
0.781 0.358 0.604 F
0.273 0.275 0.099 O
0.159 0.345 0.738 O
0.305 0.704 0.238 O
0.662 0.743 0.382 O
0.654 0.625 0.763 O
0.529 0.990 0.481 Mn
0.982 0.547 0.826 Mn
0.462 0.989 0.164 Mn
0.940 0.961 0.328 Mn
0.468 0.419 0.677 Mn
0.005 0.061 0.009 Mn
0.020 0.528 0.506 Mn
0.499 0.469 0.010 Mn
0.501 0.890 0.833 Mn
0.995 0.058 0.667 Mn
0.066 0.503 0.163 Mn
0.438 0.509 0.327 Mn
```

Polymorph energy (0 for the lowest one) ... 31.0 meV per atom
Theoretical density ... 4.16 Mg/m³
Magnetic moment ... 55.00 μB/f.u.



Entry 2:
The following is a PBE with a Hubbard U calculation of Mn8O13F3 after structural relaxation, from the Materials Project.

```
Mn8O13F3
1.0
-0.379 4.495 0.233
-2.719 -0.382 4.813
8.640 0.491 4.996
Mn O F
8 13 3
direct
0.485 0.640 0.630 Mn
0.009 0.841 0.873 Mn
0.986 0.141 0.119 Mn
0.515 0.353 0.380 Mn
0.517 0.662 0.126 Mn
0.013 0.851 0.368 Mn
0.024 0.163 0.619 Mn
0.488 0.364 0.883 Mn
0.237 0.109 0.456 O
0.735 0.612 0.290 O
0.268 0.606 0.461 O
0.728 0.386 0.042 O
0.767 0.108 0.288 O
0.271 0.397 0.718 O
0.233 0.889 0.207 O
0.724 0.611 0.791 O
0.774 0.890 0.034 O
0.272 0.614 0.968 O
0.228 0.886 0.708 O
0.224 0.117 0.958 O
0.730 0.386 0.542 O
0.757 0.876 0.539 F
0.754 0.121 0.787 F
0.260 0.379 0.212 F
```

Polymorph energy (0 for the lowest one) ... 25.6 meV per atom
Theoretical density ... 4.68 Mg/m³
Magnetic moment ... 26.99 μB/f.u.



Entry 3:
The following is a PBE with a Hubbard U calculation of Mn6OF11 after structural relaxation, from the Materials Project.

```
Mn6OF11
1.0
5.880 0.000 0.000
0.000 4.943 0.000
0.000 0.083 16.263
F Mn O
22 12 2
direct
0.610 0.270 0.887 F
0.395 0.733 0.610 F
0.383 0.286 0.730 F
0.890 0.779 0.274 F
0.896 0.768 0.610 F
0.604 0.731 0.441 F
0.105 0.230 0.559 F
0.605 0.734 0.777 F
0.105 0.770 0.441 F
0.395 0.267 0.390 F
0.114 0.782 0.109 F
0.114 0.218 0.891 F
0.604 0.269 0.559 F
0.879 0.248 0.049 F
0.896 0.232 0.390 F
0.605 0.266 0.223 F
0.383 0.714 0.270 F
0.890 0.221 0.726 F
0.610 0.730 0.113 F
0.107 0.764 0.780 F
0.879 0.752 0.951 F
0.107 0.236 0.220 F
0.668 0.502 0.331 Mn
0.668 0.498 0.669 Mn
0.170 0.003 0.670 Mn
0.339 0.486 0.159 Mn
0.633 0.500 0.000 Mn
0.835 0.988 0.839 Mn
0.170 0.997 0.330 Mn
0.831 0.000 0.500 Mn
0.339 0.514 0.841 Mn
0.835 0.012 0.161 Mn
0.208 0.000 0.000 Mn
0.330 0.500 0.500 Mn
0.400 0.719 0.946 O
0.400 0.281 0.054 O
```

Polymorph energy (0 for the lowest one) ... 12.5 meV per atom
Theoretical density ... 3.90 Mg/m³
Magnetic moment ... 29.00 μB/f.u.



Among the records above, which one has the highest polymorph energy (0 for the lowest one)?
Mn12O5F19



The highest theoretical density belongs to which entry?
Mn8O13F3



Copy entry 2 word for word.
The following is a PBE with a Hubbard U calculation of Mn8O13F3 after structural relaxation, from the Materials Project.

```
Mn8O13F3
1.0
-0.379 4.495 0.233
-2.719 -0.382 4.813
8.640 0.491 4.996
Mn O F
8 13 3
direct
0.485 0.640 0.630 Mn
0.009 0.841 0.873 Mn
0.986 0.141 0.119 Mn
0.515 0.353 0.380 Mn
0.517 0.662 0.126 Mn
0.013 0.851 0.368 Mn
0.024 0.163 0.619 Mn
0.488 0.364 0.883 Mn
0.237 0.109 0.456 O
0.735 0.612 0.290 O
0.268 0.606 0.461 O
0.728 0.386 0.042 O
0.767 0.108 0.288 O
0.271 0.397 0.718 O
0.233 0.889 0.207 O
0.724 0.611 0.791 O
0.774 0.890 0.034 O
0.272 0.614 0.968 O
0.228 0.886 0.708 O
0.224 0.117 0.958 O
0.730 0.386 0.542 O
0.757 0.876 0.539 F
0.754 0.121 0.787 F
0.260 0.379 0.212 F
```

Polymorph energy (0 for the lowest one) ... 25.6 meV per atom
Theoretical density ... 4.68 Mg/m³
Magnetic moment ... 26.99 μB/f.u.



What did the third record say?
The following is a PBE with a Hubbard U calculation of Mn6OF11 after structural relaxation, from the Materials Project.

```
Mn6OF11
1.0
5.880 0.000 0.000
0.000 4.943 0.000
0.000 0.083 16.263
F Mn O
22 12 2
direct
0.610 0.270 0.887 F
0.395 0.733 0.610 F
0.383 0.286 0.730 F
0.890 0.779 0.274 F
0.896 0.768 0.610 F
0.604 0.731 0.441 F
0.105 0.230 0.559 F
0.605 0.734 0.777 F
0.105 0.770 0.441 F
0.395 0.267 0.390 F
0.114 0.782 0.109 F
0.114 0.218 0.891 F
0.604 0.269 0.559 F
0.879 0.248 0.049 F
0.896 0.232 0.390 F
0.605 0.266 0.223 F
0.383 0.714 0.270 F
0.890 0.221 0.726 F
0.610 0.730 0.113 F
0.107 0.764 0.780 F
0.879 0.752 0.951 F
0.107 0.236 0.220 F
0.668 0.502 0.331 Mn
0.668 0.498 0.669 Mn
0.170 0.003 0.670 Mn
0.339 0.486 0.159 Mn
0.633 0.500 0.000 Mn
0.835 0.988 0.839 Mn
0.170 0.997 0.330 Mn
0.831 0.000 0.500 Mn
0.339 0.514 0.841 Mn
0.835 0.012 0.161 Mn
0.208 0.000 0.000 Mn
0.330 0.500 0.500 Mn
0.400 0.719 0.946 O
0.400 0.281 0.054 O
```

Polymorph energy (0 for the lowest one) ... 12.5 meV per atom
Theoretical density ... 3.90 Mg/m³
Magnetic moment ... 29.00 μB/f.u.